VASP calculation (PBE+U) on a geometry-optimized Eu3MoO7 structure.

Cell and atoms, written as extended XYZ:
```
44
Lattice="7.5531 0.0000 0.0000 0.0000 7.6963 0.0000 0.0000 0.0000 10.8884" Properties=species:S:1:pos:R:3 pbc="T T T"
Eu 0.1929 0.0400 2.7621
Eu 1.5328 1.9273 10.7281
Eu 1.6085 1.8802 5.6905
Eu 2.1680 5.8161 0.2463
Eu 2.2437 5.7690 5.2839
Eu 3.5836 7.6563 8.2063
Eu 3.9694 3.8082 8.1263
Eu 5.3094 1.9208 0.1603
Eu 5.3851 1.9679 5.1979
Eu 5.9445 5.7283 10.6421
Eu 6.0202 5.7754 5.6045
Eu 7.3601 3.8881 2.6821
Mo 0.0321 3.7199 8.1803
Mo 3.7444 3.9763 2.7361
Mo 3.8087 0.1282 2.7081
Mo 7.5209 7.5681 8.1523
O 0.1108 5.8309 1.2933
O 0.2614 5.7405 4.1928
O 0.5216 1.9296 8.2520
O 1.0743 4.2180 9.6730
O 1.3311 7.4481 9.5415
O 1.3996 4.1175 6.9127
O 1.5086 7.4259 6.9072
O 2.2679 0.2704 1.4630
O 2.3769 3.5788 1.4685
O 2.4454 0.2482 4.0973
O 2.7023 3.4782 4.2288
O 3.2549 5.7667 2.8078
O 3.5151 1.9557 9.6370
O 3.6657 1.8654 6.7375
O 3.8874 5.7135 9.5951
O 4.0380 5.8039 6.6956
O 4.2982 1.9186 2.6364
O 4.8508 7.3264 1.2154
O 5.1076 4.0963 1.3469
O 5.1762 7.4269 3.9757
O 5.2851 4.1185 3.9812
O 6.0445 3.5778 9.4254
O 6.1534 0.2694 9.4199
O 6.2220 3.6000 6.7911
O 6.4788 0.3699 6.6596
O 7.0314 5.7777 8.0806
O 7.2916 1.8924 1.2514
O 7.4422 1.9827 4.1509
```

Computed properties:
Energy of formation: -2.93 eV per atom
SG: No. 19
DFT total energy: -401.8 eV/cell
Total moment: 1.727 μB/atom